# Na3VIO13, optimized geometry, DFT PBE+U
# Volume, Å³ per cell: 538.5
# Symmetry: P-1
# Polymorph energy (0 for the lowest one), meV/atom: 169
# Magnetic moment, μB per atom: 0.056
# Formation enthalpy at 0 K, eV per atom: -0.7941
data_Na3VIO13
_space_group_name_H-M_alt 'P 1'
_space_group_IT_number 1
_cell_length_a 6.077
_cell_length_b 8.353
_cell_length_c 10.851
_cell_angle_alpha 102.05
_cell_angle_beta 91.31
_cell_angle_gamma 90.20
loop_
_space_group_symop_operation_xyz
'x,y,z'
loop_
_atom_site_label
_atom_site_fract_x
_atom_site_fract_y
_atom_site_fract_z
_atom_site_occupancy
Na1 0.108 0.222 0.060 1
Na2 0.150 0.117 0.346 1
Na3 0.204 0.460 0.667 1
Na4 0.796 0.540 0.333 1
Na5 0.850 0.883 0.654 1
Na6 0.892 0.778 0.940 1
V1 0.425 0.817 0.048 1
V2 0.575 0.183 0.952 1
I1 0.349 0.871 0.772 1
I2 0.651 0.129 0.228 1
O1 0.061 0.783 0.439 1
O2 0.108 0.726 0.759 1
O3 0.182 0.714 0.061 1
O4 0.202 0.015 0.695 1
O5 0.211 0.570 0.181 1
O6 0.232 0.422 0.438 1
O7 0.251 0.827 0.427 1
O8 0.281 0.983 0.945 1
O9 0.386 0.987 0.193 1
O10 0.390 0.301 0.894 1
O11 0.401 0.561 0.215 1
O12 0.489 0.756 0.626 1
O13 0.491 0.263 0.123 1
O14 0.509 0.737 0.877 1
O15 0.511 0.244 0.374 1
O16 0.599 0.439 0.785 1
O17 0.610 0.699 0.106 1
O18 0.614 0.013 0.807 1
O19 0.719 0.017 0.055 1
O20 0.749 0.173 0.573 1
O21 0.768 0.578 0.562 1
O22 0.789 0.430 0.819 1
O23 0.798 0.985 0.305 1
O24 0.818 0.286 0.939 1
O25 0.892 0.274 0.241 1
O26 0.939 0.217 0.561 1

***

# LiVBO4, optimized geometry, DFT PBE+U
# Volume, Å³ per cell: 266.4
# Symmetry: Pnma
# Polymorph energy (0 for the lowest one), meV/atom: 0
# Magnetic moment, μB per atom: 0.143
# Formation enthalpy at 0 K, eV per atom: -2.6009
data_LiVBO4
_space_group_name_H-M_alt 'P 1'
_space_group_IT_number 1
_cell_length_a 9.088
_cell_length_b 3.114
_cell_length_c 9.415
_cell_angle_alpha 90.00
_cell_angle_beta 90.00
_cell_angle_gamma 90.00
loop_
_space_group_symop_operation_xyz
'x,y,z'
loop_
_atom_site_label
_atom_site_fract_x
_atom_site_fract_y
_atom_site_fract_z
_atom_site_occupancy
Li1 0.122 0.250 0.065 1
Li2 0.378 0.750 0.565 1
Li3 0.622 0.250 0.435 1
Li4 0.878 0.750 0.935 1
V1 0.108 0.250 0.709 1
V2 0.392 0.750 0.209 1
V3 0.608 0.250 0.791 1
V4 0.892 0.750 0.291 1
B1 0.165 0.250 0.385 1
B2 0.335 0.750 0.885 1
B3 0.665 0.250 0.115 1
B4 0.835 0.750 0.615 1
O1 0.011 0.250 0.368 1
O2 0.025 0.250 0.869 1
O3 0.226 0.250 0.515 1
O4 0.249 0.250 0.259 1
O5 0.251 0.750 0.759 1
O6 0.274 0.750 0.015 1
O7 0.475 0.750 0.369 1
O8 0.489 0.750 0.868 1
O9 0.511 0.250 0.132 1
O10 0.525 0.250 0.631 1
O11 0.726 0.250 0.985 1
O12 0.749 0.250 0.241 1
O13 0.751 0.750 0.741 1
O14 0.774 0.750 0.485 1
O15 0.975 0.750 0.131 1
O16 0.989 0.750 0.632 1

***

# Ba3CrF12, optimized geometry, DFT PBE+U
# Volume, Å³ per cell: 389.3
# Symmetry: C2/m
# Magnetic moment, μB per atom: 0.187
# Formation enthalpy at 0 K, eV per atom: -2.8471
data_Ba3CrF12
_space_group_name_H-M_alt 'P 1'
_space_group_IT_number 1
_cell_length_a 8.221
_cell_length_b 8.221
_cell_length_c 7.074
_cell_angle_alpha 98.50
_cell_angle_beta 98.50
_cell_angle_gamma 121.33
loop_
_space_group_symop_operation_xyz
'x,y,z'
loop_
_atom_site_label
_atom_site_fract_x
_atom_site_fract_y
_atom_site_fract_z
_atom_site_occupancy
Ba1 0.000 0.000 0.000 1
Ba2 0.000 0.500 0.500 1
Ba3 0.500 0.000 0.500 1
Cr1 0.000 0.000 0.500 1
F1 0.027 0.208 0.679 1
F2 0.109 0.313 0.274 1
F3 0.208 0.027 0.679 1
F4 0.236 0.641 0.271 1
F5 0.313 0.109 0.274 1
F6 0.359 0.764 0.729 1
F7 0.641 0.236 0.271 1
F8 0.687 0.891 0.726 1
F9 0.764 0.359 0.729 1
F10 0.792 0.973 0.321 1
F11 0.891 0.687 0.726 1
F12 0.973 0.792 0.321 1

***

# Li4V3P8O29, optimized geometry, DFT PBE+U
# Volume, Å³ per cell: 1176.9
# Symmetry: P1
# Polymorph energy (0 for the lowest one), meV/atom: 8
# Magnetic moment, μB per atom: 0.023
# Formation enthalpy at 0 K, eV per atom: -2.5755
data_Li4V3P8O29
_space_group_name_H-M_alt 'P 1'
_space_group_IT_number 1
_cell_length_a 9.748
_cell_length_b 9.750
_cell_length_c 14.257
_cell_angle_alpha 89.29
_cell_angle_beta 89.72
_cell_angle_gamma 60.30
loop_
_space_group_symop_operation_xyz
'x,y,z'
loop_
_atom_site_label
_atom_site_fract_x
_atom_site_fract_y
_atom_site_fract_z
_atom_site_occupancy
Li1 0.000 0.000 0.000 1
Li2 0.038 0.684 0.579 1
Li3 0.179 0.681 0.069 1
Li4 0.277 0.780 0.464 1
Li5 0.622 0.103 0.072 1
Li6 0.714 0.342 0.949 1
Li7 0.853 0.341 0.451 1
Li8 0.897 0.050 0.521 1
V1 0.381 0.016 0.760 1
V2 0.381 0.577 0.265 1
V3 0.509 0.009 0.264 1
V4 0.512 0.445 0.763 1
V5 0.943 0.576 0.767 1
V6 0.950 0.446 0.262 1
P1 0.033 0.697 0.361 1
P2 0.034 0.225 0.848 1
P3 0.168 0.093 0.353 1
P4 0.171 0.698 0.855 1
P5 0.251 0.929 0.169 1
P6 0.259 0.789 0.675 1
P7 0.276 0.351 0.646 1
P8 0.282 0.346 0.147 1
P9 0.609 0.681 0.881 1
P10 0.611 0.677 0.381 1
P11 0.635 0.097 0.859 1
P12 0.640 0.230 0.350 1
P13 0.718 0.330 0.170 1
P14 0.728 0.930 0.676 1
P15 0.858 0.325 0.668 1
P16 0.864 0.793 0.178 1
O1 0.025 0.389 0.841 1
O2 0.029 0.265 0.352 1
O3 0.032 0.663 0.846 1
O4 0.035 0.540 0.342 1
O5 0.126 0.500 0.689 1
O6 0.141 0.338 0.190 1
O7 0.146 0.014 0.260 1
O8 0.149 0.811 0.766 1
O9 0.156 0.782 0.945 1
O10 0.159 0.004 0.083 1
O11 0.164 0.002 0.436 1
O12 0.169 0.793 0.588 1
O13 0.206 0.669 0.350 1
O14 0.208 0.093 0.847 1
O15 0.266 0.359 0.542 1
O16 0.275 0.202 0.692 1
O17 0.278 0.497 0.193 1
O18 0.287 0.364 0.043 1
O19 0.287 0.932 0.679 1
O20 0.288 0.753 0.178 1
O21 0.328 0.093 0.338 1
O22 0.329 0.544 0.843 1
O23 0.407 0.935 0.184 1
O24 0.415 0.636 0.687 1
O25 0.423 0.346 0.691 1
O26 0.436 0.198 0.186 1
O27 0.457 0.684 0.337 1
O28 0.468 0.825 0.831 1
O29 0.478 0.097 0.839 1
O30 0.485 0.393 0.341 1
O31 0.562 0.487 0.189 1
O32 0.565 0.939 0.684 1
O33 0.591 0.688 0.484 1
O34 0.599 0.096 0.346 1
O35 0.608 0.267 0.852 1
O36 0.613 0.823 0.331 1
O37 0.614 0.688 0.985 1
O38 0.617 0.525 0.848 1
O39 0.688 0.359 0.684 1
O40 0.689 0.933 0.177 1
O41 0.712 0.024 0.950 1
O42 0.713 0.256 0.080 1
O43 0.736 0.211 0.254 1
O44 0.743 0.218 0.430 1
O45 0.750 0.001 0.773 1
O46 0.751 0.012 0.594 1
O47 0.758 0.525 0.347 1
O48 0.761 0.676 0.834 1
O49 0.858 0.360 0.180 1
O50 0.862 0.753 0.679 1
O51 0.863 0.636 0.186 1
O52 0.864 0.478 0.684 1
O53 0.920 0.248 0.575 1
O54 0.934 0.816 0.277 1
O55 0.943 0.209 0.928 1
O56 0.957 0.809 0.100 1
O57 0.961 0.205 0.751 1
O58 0.967 0.771 0.453 1

***

# Li9Co7O16, optimized geometry, DFT PBE+U
# Volume, Å³ per cell: 280.6
# Symmetry: C2/m
# Polymorph energy (0 for the lowest one), meV/atom: 82
# Magnetic moment, μB per atom: 0.127
# Formation enthalpy at 0 K, eV per atom: -1.6733
data_Li9Co7O16
_space_group_name_H-M_alt 'P 1'
_space_group_IT_number 1
_cell_length_a 10.680
_cell_length_b 10.680
_cell_length_c 10.015
_cell_angle_alpha 114.15
_cell_angle_beta 114.15
_cell_angle_gamma 15.65
loop_
_space_group_symop_operation_xyz
'x,y,z'
loop_
_atom_site_label
_atom_site_fract_x
_atom_site_fract_y
_atom_site_fract_z
_atom_site_occupancy
Li1 0.000 0.000 0.000 1
Li2 0.124 0.124 0.438 1
Li3 0.124 0.124 0.936 1
Li4 0.374 0.374 0.311 1
Li5 0.379 0.379 0.819 1
Li6 0.621 0.621 0.181 1
Li7 0.626 0.626 0.689 1
Li8 0.876 0.876 0.064 1
Li9 0.876 0.876 0.562 1
Co1 0.000 0.000 0.500 1
Co2 0.250 0.250 0.376 1
Co3 0.250 0.250 0.875 1
Co4 0.499 0.499 0.240 1
Co5 0.501 0.501 0.760 1
Co6 0.750 0.750 0.125 1
Co7 0.750 0.750 0.624 1
O1 0.054 0.054 0.705 1
O2 0.058 0.058 0.226 1
O3 0.192 0.192 0.655 1
O4 0.193 0.193 0.169 1
O5 0.304 0.304 0.582 1
O6 0.309 0.309 0.093 1
O7 0.441 0.441 0.051 1
O8 0.448 0.448 0.536 1
O9 0.552 0.552 0.464 1
O10 0.559 0.559 0.949 1
O11 0.691 0.691 0.907 1
O12 0.696 0.696 0.418 1
O13 0.807 0.807 0.831 1
O14 0.808 0.808 0.345 1
O15 0.942 0.942 0.774 1
O16 0.946 0.946 0.295 1

***

# Li4Cu2Ni5O12, optimized geometry, DFT PBE+U
# Volume, Å³ per cell: 428.7
# Symmetry: P2_1
# Magnetic moment, μB per atom: 0.261
# Formation enthalpy at 0 K, eV per atom: -1.3188
data_Li4Cu2Ni5O12
_space_group_name_H-M_alt 'P 1'
_space_group_IT_number 1
_cell_length_a 5.271
_cell_length_b 8.563
_cell_length_c 9.573
_cell_angle_alpha 90.00
_cell_angle_beta 97.20
_cell_angle_gamma 90.00
loop_
_space_group_symop_operation_xyz
'x,y,z'
loop_
_atom_site_label
_atom_site_fract_x
_atom_site_fract_y
_atom_site_fract_z
_atom_site_occupancy
Li1 0.003 0.000 0.258 1
Li2 0.242 0.527 0.490 1
Li3 0.489 0.019 0.741 1
Li4 0.496 0.194 0.254 1
Li5 0.504 0.694 0.746 1
Li6 0.511 0.519 0.259 1
Li7 0.758 0.027 0.510 1
Li8 0.997 0.500 0.742 1
Cu1 0.249 0.341 0.995 1
Cu2 0.251 0.860 0.499 1
Cu3 0.749 0.360 0.501 1
Cu4 0.751 0.841 0.005 1
Ni1 0.000 0.358 0.252 1
Ni2 0.000 0.858 0.748 1
Ni3 0.243 0.682 0.002 1
Ni4 0.246 0.194 0.500 1
Ni5 0.255 0.014 0.998 1
Ni6 0.495 0.354 0.745 1
Ni7 0.505 0.854 0.255 1
Ni8 0.745 0.514 0.002 1
Ni9 0.754 0.694 0.500 1
Ni10 0.757 0.182 0.998 1
O1 0.125 0.493 0.108 1
O2 0.127 0.711 0.617 1
O3 0.130 0.187 0.107 1
O4 0.144 0.016 0.612 1
O5 0.182 0.354 0.628 1
O6 0.184 0.860 0.132 1
O7 0.321 0.351 0.362 1
O8 0.323 0.854 0.864 1
O9 0.348 0.022 0.385 1
O10 0.365 0.498 0.881 1
O11 0.394 0.183 0.894 1
O12 0.395 0.710 0.389 1
O13 0.605 0.210 0.611 1
O14 0.606 0.683 0.106 1
O15 0.635 0.998 0.119 1
O16 0.652 0.522 0.615 1
O17 0.677 0.354 0.136 1
O18 0.679 0.851 0.638 1
O19 0.816 0.360 0.868 1
O20 0.818 0.854 0.372 1
O21 0.856 0.516 0.388 1
O22 0.870 0.687 0.893 1
O23 0.873 0.211 0.383 1
O24 0.875 0.993 0.892 1